(1)
DFT (PBE+U) results for LiVP4O12 after structural relaxation.

Computed properties:
formation enthalpy at 0 K = -2630 meV/atom
total DFT energy (no corrections) = -7.19 eV/atom
energy with MP2020 corrections = -557.47 eV for the cell shown

Lattice parameters (Å, degrees): 10.4856 9.0985 9.5489 89.03 90.00 90.00
Positions (direct):
V: 0.7873 0.2568 0.7379
O: 0.9283 0.8935 0.4570
O: 0.1235 0.2188 0.6014
O: 0.7778 0.0750 0.3516
P: 0.8939 0.4608 0.4670
P: 0.6054 0.4598 0.9548
O: 0.6235 0.7812 0.3986
O: 0.2091 0.5718 0.1520
P: 0.1054 0.5402 0.0452
Li: 0.1845 0.1105 0.7500
P: 0.0171 0.7538 0.4818
O: 0.5745 0.8898 0.9511
O: 0.8620 0.4336 0.6212
O: 0.3746 0.7507 0.8818
P: 0.3939 0.5392 0.5330
O: 0.3620 0.5664 0.3788
O: 0.9899 0.8644 0.0948
O: 0.6352 0.0833 0.1211
P: 0.8881 0.0611 0.4549
P: 0.6110 0.7464 0.5492
O: 0.4106 0.3662 0.5567
O: 0.4701 0.4092 0.8973
Li: 0.8295 0.6187 0.7495
O: 0.5525 0.2618 0.3649
O: 0.8728 0.7347 0.8987
P: 0.1123 0.9424 0.0343
P: 0.8879 0.7368 0.0523
O: 0.7810 0.7521 0.1520
V: 0.7115 0.2540 0.2370
P: 0.6123 0.0576 0.9657
O: 0.1352 0.9167 0.8789
O: 0.2778 0.9250 0.6484
O: 0.9483 0.2527 0.8607
O: 0.0745 0.1102 0.0489
O: 0.9106 0.6338 0.4433
O: 0.8625 0.1112 0.6012
Li: 0.3295 0.3813 0.2505
V: 0.2873 0.7432 0.2621
O: 0.5066 0.8602 0.6171
O: 0.6217 0.2480 0.6248
O: 0.7214 0.0925 0.8684
Li: 0.6845 0.8895 0.2500
O: 0.4483 0.7473 0.1393
O: 0.7194 0.7378 0.6477
O: 0.1314 0.5960 0.8986
O: 0.2194 0.2622 0.3523
O: 0.9701 0.5908 0.1027
P: 0.3881 0.9389 0.5451
O: 0.0867 0.3674 0.0488
O: 0.0066 0.1398 0.3829
O: 0.8746 0.2493 0.1182
O: 0.4283 0.1065 0.5430
O: 0.0525 0.7382 0.6351
O: 0.2214 0.9075 0.1316
O: 0.2810 0.2479 0.8480
O: 0.1217 0.7520 0.3752
P: 0.3879 0.2632 0.9477
O: 0.0339 0.4094 0.4301
O: 0.7091 0.4282 0.8480
O: 0.7990 0.4039 0.3634
O: 0.5867 0.6326 0.9512
O: 0.6314 0.4040 0.1014
O: 0.3728 0.2653 0.1013
O: 0.3625 0.8888 0.3988
O: 0.5339 0.5906 0.5699
P: 0.1110 0.2536 0.4508
O: 0.4899 0.1356 0.9052
P: 0.5171 0.2462 0.5182
P: 0.9818 0.2450 0.0148
O: 0.2990 0.5961 0.6366
V: 0.2115 0.7460 0.7630
P: 0.4818 0.7550 0.9852


(2)
DFT (PBE+U) results for Li7V3P8O29 after structural relaxation.

Computed properties:
formation enthalpy at 0 K = -2684 meV/atom
total DFT energy (no corrections) = -6.99 eV/atom
energy with MP2020 corrections = -707.07 eV for the cell shown

Lattice parameters (Å, degrees): 9.8220 9.8220 13.9886 88.80 88.80 60.53
Positions (direct):
Li: 0.0000 0.0000 0.5000
O: 0.6306 0.4835 0.6663
O: 0.5196 0.1029 0.3339
V: 0.4349 0.0058 0.2454
O: 0.5201 0.6609 0.8449
O: 0.7688 0.2265 0.9292
O: 0.6294 0.9055 0.1687
O: 0.2154 0.7846 0.2500
O: 0.3135 0.3386 0.0200
Li: 0.3222 0.9095 0.4329
P: 0.6830 0.0873 0.3508
O: 0.2312 0.7735 0.0708
P: 0.6708 0.6611 0.8738
P: 0.3292 0.3389 0.1262
O: 0.5168 0.8192 0.3294
O: 0.6614 0.6865 0.4800
O: 0.4799 0.3391 0.1551
P: 0.9160 0.7831 0.6654
V: 0.0058 0.4349 0.7454
P: 0.0873 0.6830 0.8508
V: 0.5651 0.9942 0.7546
P: 0.7831 0.9160 0.1654
O: 0.6620 0.8115 0.8244
O: 0.0945 0.3706 0.3313
V: 0.9942 0.5651 0.2546
O: 0.2388 0.9892 0.5561
P: 0.3389 0.3292 0.6262
O: 0.3380 0.1885 0.1756
O: 0.8192 0.5168 0.8294
O: 0.7470 0.9213 0.6623
O: 0.9820 0.7964 0.7661
O: 0.3706 0.0945 0.8313
P: 0.7768 0.3201 0.6572
O: 0.1885 0.3380 0.6756
Li: 0.7648 0.3221 0.4356
O: 0.2036 0.0180 0.7339
O: 0.2515 0.6654 0.8408
Li: 0.0000 0.0000 0.0000
Li: 0.6731 0.6703 0.6125
P: 0.3170 0.9127 0.6492
O: 0.3391 0.4799 0.6551
Li: 0.6703 0.6731 0.1125
O: 0.7735 0.2312 0.5708
O: 0.7612 0.0108 0.4439
P: 0.3201 0.7768 0.1572
Li: 0.0905 0.6778 0.0671
O: 0.0788 0.6596 0.3395
O: 0.3386 0.3135 0.5200
O: 0.4804 0.8971 0.6661
O: 0.9861 0.2028 0.4146
O: 0.7485 0.3346 0.1592
O: 0.1808 0.4832 0.1706
Li: 0.3297 0.3269 0.8875
O: 0.4835 0.6306 0.1663
O: 0.1029 0.5196 0.8339
Li: 0.9095 0.3222 0.9329
O: 0.8115 0.6620 0.3244
P: 0.0840 0.2169 0.3346
O: 0.3694 0.5165 0.3337
O: 0.7972 0.0139 0.0854
O: 0.7964 0.9820 0.2661
P: 0.6799 0.2232 0.8428
O: 0.6654 0.2515 0.3408
O: 0.5165 0.3694 0.8337
V: 0.4354 0.5646 0.7500
P: 0.2169 0.0840 0.8346
P: 0.9127 0.3170 0.1492
O: 0.6609 0.5201 0.3449
Li: 0.3221 0.7648 0.9356
O: 0.2028 0.9861 0.9146
O: 0.9213 0.7470 0.1623
O: 0.3346 0.7485 0.6592
O: 0.0180 0.2036 0.2339
O: 0.9892 0.2388 0.0561
V: 0.5646 0.4354 0.2500
O: 0.4832 0.1808 0.6706
O: 0.3404 0.9212 0.1605
O: 0.6596 0.0788 0.8395
O: 0.0139 0.7972 0.5854
Li: 0.6779 0.2352 0.0644
P: 0.2232 0.6799 0.3428
O: 0.2265 0.7688 0.4292
P: 0.6611 0.6708 0.3738
Li: 0.6778 0.0905 0.5671
O: 0.2530 0.0787 0.3377
O: 0.0787 0.2530 0.8377
O: 0.7846 0.2154 0.7500
O: 0.6865 0.6614 0.9800
O: 0.0108 0.7612 0.9439
Li: 0.3269 0.3297 0.3875
O: 0.9055 0.6294 0.6687
O: 0.8971 0.4804 0.1661
O: 0.9212 0.3404 0.6605
Li: 0.2352 0.6779 0.5644


(3)
DFT (PBE+U) results for Li5V3P8O29 after structural relaxation.

Computed properties:
formation enthalpy at 0 K = -2618 meV/atom
total DFT energy (no corrections) = -7.03 eV/atom
energy with MP2020 corrections = -682.82 eV for the cell shown

Lattice parameters (Å, degrees): 9.7782 9.7850 14.0445 89.92 90.22 119.79
Positions (direct):
O: 0.4823 0.8058 0.1718
P: 0.3157 0.0885 0.1588
P: 0.6934 0.9163 0.8380
P: 0.0904 0.7749 0.8435
V: 0.5694 0.9975 0.2466
O: 0.0040 0.2097 0.2506
O: 0.5254 0.6192 0.3207
O: 0.0167 0.7906 0.9335
O: 0.2605 0.9182 0.8359
O: 0.8143 0.4860 0.3316
O: 0.6625 0.7443 0.8357
O: 0.9175 0.2553 0.6618
O: 0.0014 0.7944 0.7512
O: 0.2591 0.3384 0.3404
O: 0.3848 0.4720 0.8294
Li: 0.2261 0.9071 0.5616
V: 0.0012 0.5685 0.2505
O: 0.0845 0.3387 0.8422
O: 0.3324 0.6551 0.5252
O: 0.4735 0.0958 0.1723
P: 0.2337 0.9137 0.3418
V: 0.4389 0.4399 0.2472
Li: 0.0930 0.7641 0.0598
O: 0.2270 0.0021 0.0702
O: 0.7582 0.0115 0.5619
O: 0.6201 0.1006 0.6781
Li: 0.0911 0.3210 0.5615
O: 0.2296 0.2274 0.9306
O: 0.6655 0.9162 0.3408
O: 0.2440 0.0018 0.4320
O: 0.1030 0.4813 0.3225
O: 0.9991 0.7580 0.5718
O: 0.7459 0.0862 0.1645
O: 0.7849 0.7838 0.0701
O: 0.9112 0.3832 0.1713
O: 0.6174 0.5350 0.1703
P: 0.6878 0.7712 0.3426
O: 0.3223 0.5083 0.1740
O: 0.3355 0.2572 0.1601
Li: 0.2325 0.3326 0.0564
P: 0.7765 0.6934 0.1560
V: 0.5729 0.5712 0.7524
O: 0.9011 0.5216 0.6793
O: 0.0039 0.2439 0.4306
P: 0.9136 0.2292 0.1588
O: 0.2405 0.2446 0.5690
Li: 0.3344 0.0982 0.9393
P: 0.7693 0.0887 0.6546
O: 0.0852 0.7478 0.3421
V: 0.9987 0.4327 0.7523
O: 0.3234 0.6468 0.0237
O: 0.1835 0.5112 0.6719
P: 0.6664 0.3321 0.3687
O: 0.1872 0.6773 0.1683
O: 0.6725 0.1857 0.3305
O: 0.7656 0.7552 0.4291
Li: 0.9069 0.6792 0.4445
P: 0.9110 0.6820 0.6616
P: 0.3197 0.2333 0.6584
O: 0.5091 0.1889 0.8320
O: 0.2073 0.2096 0.7490
O: 0.4779 0.6626 0.6806
Li: 0.9297 0.9422 0.9906
O: 0.7950 0.7943 0.2502
O: 0.8095 0.3228 0.8350
P: 0.3320 0.6625 0.6312
O: 0.2083 0.0028 0.2516
P: 0.0924 0.3213 0.3411
O: 0.3838 0.9053 0.3227
O: 0.7440 0.6612 0.6647
P: 0.3320 0.6663 0.1293
O: 0.5393 0.9194 0.8326
O: 0.6588 0.3377 0.9784
V: 0.4366 0.0015 0.7487
P: 0.2304 0.3157 0.8421
Li: 0.3191 0.2276 0.4434
P: 0.6632 0.3325 0.8724
Li: 0.7737 0.0865 0.4372
O: 0.5157 0.3312 0.3207
O: 0.6700 0.4831 0.8237
O: 0.0908 0.6200 0.8315
Li: 0.8971 0.2306 0.9397
O: 0.6510 0.3317 0.4744
O: 0.3357 0.0840 0.6574
O: 0.9972 0.2253 0.0693
O: 0.3292 0.8132 0.6679
O: 0.7899 0.9922 0.7406
O: 0.9165 0.6606 0.1617
O: 0.8012 0.0060 0.9192
O: 0.4781 0.3829 0.6773


(4)
DFT (PBE+U) results for LiV2P2O8 after structural relaxation.

Computed properties:
formation enthalpy at 0 K = -2627 meV/atom
total DFT energy (no corrections) = -7.36 eV/atom
energy with MP2020 corrections = -209.28 eV for the cell shown

Lattice parameters (Å, degrees): 9.0835 6.4307 4.9363 90.04 90.00 90.01
Positions (direct):
O: 0.1199 0.4458 0.3347
O: 0.8780 0.9507 0.6516
V: 0.9995 0.9875 0.9995
P: 0.6754 0.2499 0.0270
O: 0.6200 0.0539 0.1653
O: 0.8792 0.7503 0.2124
O: 0.1200 0.0539 0.3345
V: 0.4995 0.9876 0.5006
O: 0.6199 0.4459 0.1654
O: 0.3792 0.7499 0.2875
O: 0.6279 0.2499 0.7175
P: 0.1754 0.2500 0.4730
O: 0.1278 0.2498 0.7824
O: 0.3509 0.2501 0.4442
V: 0.4994 0.5126 0.5003
V: 0.9995 0.5127 0.9998
Li: 0.8330 0.2498 0.5350
O: 0.3781 0.5495 0.8483
O: 0.3781 0.9509 0.8490
P: 0.8240 0.7500 0.5133
P: 0.3240 0.7501 0.9867
Li: 0.3329 0.2500 0.9650
O: 0.8781 0.5493 0.6511
O: 0.1522 0.7501 0.9570
O: 0.8510 0.2500 0.0558
O: 0.6522 0.7500 0.5430


(5)
DFT (PBE+U) results for LiVP4O12 after structural relaxation.

Computed properties:
formation enthalpy at 0 K = -2639 meV/atom
total DFT energy (no corrections) = -7.20 eV/atom
energy with MP2020 corrections = -279.05 eV for the cell shown

Lattice parameters (Å, degrees): 10.4194 10.4194 5.2460 81.60 81.60 71.01
Positions (direct):
P: 0.6334 0.2152 0.1780
O: 0.6046 0.9031 0.3156
O: 0.3310 0.0776 0.2389
P: 0.7848 0.3666 0.8220
O: 0.9224 0.6690 0.7611
O: 0.9031 0.6046 0.3156
P: 0.2152 0.6334 0.1780
O: 0.4382 0.6627 0.6825
O: 0.0969 0.3954 0.6844
O: 0.3954 0.0969 0.6844
O: 0.1676 0.5540 0.0105
O: 0.7682 0.2318 0.0000
O: 0.7070 0.0890 0.3800
O: 0.2930 0.9110 0.6200
V: 0.5000 0.0000 0.0000
P: 0.3666 0.7848 0.8220
O: 0.0890 0.7070 0.3800
O: 0.4460 0.8324 0.9895
Li: 0.5708 0.5708 0.4024
P: 0.6965 0.9391 0.4700
P: 0.9391 0.6965 0.4700
Li: 0.4292 0.4292 0.5976
V: 0.0000 0.5000 0.0000
O: 0.6690 0.9224 0.7611
P: 0.0609 0.3035 0.5300
O: 0.3373 0.5618 0.3175
O: 0.8531 0.8531 0.3923
O: 0.8324 0.4460 0.9895
O: 0.9110 0.2930 0.6200
O: 0.5618 0.3373 0.3175
O: 0.1469 0.1469 0.6077
O: 0.0776 0.3310 0.2389
O: 0.5540 0.1676 0.0105
O: 0.6627 0.4382 0.6825
O: 0.2318 0.7682 0.0000
P: 0.3035 0.0609 0.5300


(6)
DFT (PBE+U) results for Li5V3P8O29 after structural relaxation.

Computed properties:
formation enthalpy at 0 K = -2611 meV/atom
total DFT energy (no corrections) = -7.02 eV/atom
energy with MP2020 corrections = -682.19 eV for the cell shown

Lattice parameters (Å, degrees): 9.7823 9.7910 13.8723 89.75 89.85 60.07
Positions (direct):
P: 0.3366 0.3349 0.3729
O: 0.2439 0.7569 0.4338
O: 0.6571 0.2554 0.1631
O: 0.8873 0.6260 0.8244
O: 0.7610 0.2307 0.9283
O: 0.6722 0.8146 0.6667
O: 0.2568 0.0828 0.1638
O: 0.3336 0.1873 0.3279
Li: 0.6767 0.0967 0.9399
Li: 0.6646 0.6640 0.8825
P: 0.9102 0.3181 0.3422
O: 0.9898 0.2434 0.4341
O: 0.6625 0.6699 0.0192
P: 0.0879 0.2296 0.1576
P: 0.3190 0.9107 0.8431
O: 0.9965 0.7599 0.5681
O: 0.9978 0.7909 0.7506
Li: 0.9103 0.3183 0.5603
O: 0.5150 0.6690 0.6694
V: 0.4276 0.0055 0.2561
V: 0.5658 0.0021 0.7471
O: 0.3416 0.3290 0.4802
O: 0.8160 0.5128 0.6676
O: 0.3819 0.5234 0.1763
O: 0.9939 0.7613 0.9337
O: 0.7589 0.2428 0.5656
O: 0.2052 0.7889 0.2531
O: 0.6656 0.5214 0.1708
P: 0.0866 0.6830 0.6586
P: 0.6805 0.2347 0.6566
O: 0.0968 0.3815 0.1767
Li: 0.3253 0.7713 0.5609
P: 0.3203 0.7659 0.3419
O: 0.9201 0.3351 0.8413
P: 0.2299 0.0849 0.6566
O: 0.2075 0.0055 0.7539
O: 0.7930 0.2142 0.7462
Li: 0.7697 0.9053 0.5621
O: 0.0839 0.6629 0.1587
O: 0.4857 0.8906 0.8250
O: 0.1837 0.3310 0.8334
O: 0.0953 0.5225 0.6764
O: 0.0844 0.2524 0.6586
O: 0.6659 0.0835 0.6594
O: 0.3433 0.9111 0.3359
O: 0.6185 0.9027 0.3236
Li: 0.0946 0.6780 0.4408
P: 0.6652 0.6664 0.6261
O: 0.7572 0.0004 0.0679
V: 0.4285 0.5656 0.7555
O: 0.4855 0.1832 0.8322
V: 0.5691 0.4334 0.2436
O: 0.7422 0.3379 0.3358
O: 0.5209 0.3838 0.6755
Li: 0.3183 0.9094 0.0592
V: 0.0009 0.5644 0.2490
O: 0.2432 0.7669 0.0703
P: 0.7696 0.9115 0.3421
P: 0.6795 0.0882 0.1585
P: 0.2303 0.6850 0.1565
O: 0.3364 0.3295 0.9821
O: 0.6252 0.4838 0.8268
O: 0.4784 0.6147 0.3230
O: 0.5216 0.0941 0.1777
P: 0.3337 0.3301 0.8751
O: 0.6669 0.6665 0.5187
O: 0.3357 0.4787 0.8282
O: 0.0084 0.2354 0.0657
P: 0.9091 0.7710 0.8435
O: 0.7417 0.9209 0.8387
Li: 0.0922 0.2268 0.9398
P: 0.7714 0.3155 0.8429
V: 0.9998 0.4327 0.7486
O: 0.0001 0.2087 0.2502
O: 0.2408 0.9906 0.5710
O: 0.9172 0.7453 0.3411
Li: 0.9137 0.7734 0.0601
O: 0.2442 0.0020 0.9328
O: 0.1852 0.4866 0.3331
Li: 0.6774 0.2298 0.4399
P: 0.6633 0.6719 0.1276
O: 0.3384 0.7445 0.8399
O: 0.9001 0.4792 0.3214
O: 0.4880 0.3299 0.3300
O: 0.3833 0.0925 0.6761
O: 0.8148 0.6722 0.1657
O: 0.7932 0.9987 0.2498
O: 0.5119 0.8190 0.1672
O: 0.2524 0.6647 0.6592
O: 0.7566 0.0010 0.4327


| no. | offset from the most stable computed form (meV per atom) |
| --- | --- |
| 1 | 42.1 |
| 2 | 9.4 |
| 3 | 2.6 |
| 4 | 29.9 |
| 5 | 33.2 |
| 6 | 9.6 |